1.
VASP calculation (GGA-PBE) on an optimized crystal structure of LaCdPd.

Computed properties:
- Energy of formation: -15.98 kcal/mol of atoms
- Uncorrected energy: -4.37 eV per atom
- Calculated volume: 24.5 Å³/atom
- Calculated density: 8.1 g/cm3

Unit cell a=7.843 b=7.843 c=4.134 alpha=90.00 beta=90.00 gamma=120.00
Fractional coordinates of all 9 atoms:
La (0.000, 0.592, 0.000)
La (0.408, 0.408, 0.000)
La (0.592, 0.000, 0.000)
Cd (0.000, 0.248, 0.500)
Cd (0.248, 0.000, 0.500)
Cd (0.752, 0.752, 0.500)
Pd (0.000, 0.000, 0.000)
Pd (0.333, 0.667, 0.500)
Pd (0.667, 0.333, 0.500)

---

2.
VASP calculation (GGA-PBE) on an optimized crystal structure of LaCd2Pd.

Computed properties:
- Energy of formation: -13.64 kcal/mol of atoms
- Uncorrected energy: -3.58 eV per atom
- Calculated volume: 23.9 Å³/atom
- Calculated density: 8.2 g/cm3

Unit cell a=5.544 b=5.544 c=8.648 alpha=90.00 beta=90.00 gamma=134.07
Fractional coordinates of all 8 atoms:
La (0.065, 0.935, 0.750)
La (0.935, 0.065, 0.250)
Cd (0.355, 0.645, 0.547)
Cd (0.355, 0.645, 0.953)
Cd (0.645, 0.355, 0.047)
Cd (0.645, 0.355, 0.453)
Pd (0.221, 0.779, 0.250)
Pd (0.779, 0.221, 0.750)

---

3.
VASP calculation (GGA-PBE) on an optimized crystal structure of La4CdPt.

Computed properties:
- Energy of formation: -12.65 kcal/mol of atoms
- Uncorrected energy: -5.00 eV per atom
- Calculated volume: 31.3 Å³/atom
- Calculated density: 7.6 g/cm3

Unit cell a=10.201 b=10.201 c=10.201 alpha=60.00 beta=60.00 gamma=60.00
Fractional coordinates of all 24 atoms:
La (0.187, 0.187, 0.813)
La (0.187, 0.813, 0.187)
La (0.187, 0.813, 0.813)
La (0.401, 0.401, 0.401)
La (0.401, 0.401, 0.797)
La (0.401, 0.797, 0.401)
La (0.560, 0.560, 0.940)
La (0.560, 0.940, 0.560)
La (0.560, 0.940, 0.940)
La (0.797, 0.401, 0.401)
La (0.813, 0.187, 0.187)
La (0.813, 0.187, 0.813)
La (0.813, 0.813, 0.187)
La (0.940, 0.560, 0.560)
La (0.940, 0.560, 0.940)
La (0.940, 0.940, 0.560)
Cd (0.169, 0.169, 0.169)
Cd (0.169, 0.169, 0.494)
Cd (0.169, 0.494, 0.169)
Cd (0.494, 0.169, 0.169)
Pt (0.177, 0.608, 0.608)
Pt (0.608, 0.177, 0.608)
Pt (0.608, 0.608, 0.177)
Pt (0.608, 0.608, 0.608)

---

4.
VASP calculation (GGA-PBE) on an optimized crystal structure of La23Cd4Rh7.

Computed properties:
- Energy of formation: -10.85 kcal/mol of atoms
- Uncorrected energy: -5.43 eV per atom
- Calculated volume: 30.2 Å³/atom
- Calculated density: 7.1 g/cm3

Unit cell a=10.138 b=10.138 c=23.070 alpha=90.00 beta=90.00 gamma=120.00
Fractional coordinates of all 68 atoms:
La (0.000, 0.000, 0.051)
La (0.000, 0.000, 0.551)
La (0.081, 0.541, 0.137)
La (0.082, 0.541, 0.408)
La (0.128, 0.255, 0.687)
La (0.128, 0.872, 0.687)
La (0.203, 0.407, 0.834)
La (0.203, 0.797, 0.834)
La (0.206, 0.413, 0.000)
La (0.206, 0.794, 0.000)
La (0.207, 0.414, 0.271)
La (0.207, 0.793, 0.271)
La (0.210, 0.419, 0.542)
La (0.210, 0.790, 0.542)
La (0.255, 0.128, 0.187)
La (0.333, 0.667, 0.698)
La (0.407, 0.203, 0.334)
La (0.413, 0.206, 0.500)
La (0.414, 0.207, 0.771)
La (0.419, 0.210, 0.042)
La (0.459, 0.541, 0.137)
La (0.459, 0.541, 0.408)
La (0.459, 0.918, 0.408)
La (0.459, 0.919, 0.137)
La (0.541, 0.081, 0.637)
La (0.541, 0.082, 0.908)
La (0.541, 0.459, 0.637)
La (0.541, 0.459, 0.908)
La (0.581, 0.790, 0.542)
La (0.586, 0.793, 0.271)
La (0.587, 0.794, 0.000)
La (0.593, 0.797, 0.834)
La (0.667, 0.333, 0.198)
La (0.745, 0.872, 0.687)
La (0.790, 0.210, 0.042)
La (0.790, 0.581, 0.042)
La (0.793, 0.207, 0.771)
La (0.793, 0.586, 0.771)
La (0.794, 0.206, 0.500)
La (0.794, 0.587, 0.500)
La (0.797, 0.203, 0.334)
La (0.797, 0.593, 0.334)
La (0.872, 0.128, 0.187)
La (0.872, 0.745, 0.187)
La (0.918, 0.459, 0.908)
La (0.919, 0.459, 0.637)
Cd (0.000, 0.000, 0.302)
Cd (0.000, 0.000, 0.802)
Cd (0.106, 0.213, 0.415)
Cd (0.106, 0.894, 0.415)
Cd (0.213, 0.106, 0.915)
Cd (0.787, 0.894, 0.415)
Cd (0.894, 0.106, 0.915)
Cd (0.894, 0.787, 0.915)
Rh (0.040, 0.520, 0.763)
Rh (0.144, 0.288, 0.115)
Rh (0.144, 0.856, 0.115)
Rh (0.288, 0.144, 0.615)
Rh (0.333, 0.667, 0.918)
Rh (0.480, 0.520, 0.763)
Rh (0.480, 0.960, 0.763)
Rh (0.520, 0.040, 0.263)
Rh (0.520, 0.480, 0.263)
Rh (0.667, 0.333, 0.418)
Rh (0.712, 0.856, 0.115)
Rh (0.856, 0.144, 0.615)
Rh (0.856, 0.712, 0.615)
Rh (0.960, 0.480, 0.263)

---

5.
VASP calculation (GGA-PBE) on an optimized crystal structure of La2TlCd.

Computed properties:
- Energy of formation: -8.75 kcal/mol of atoms
- Uncorrected energy: -3.67 eV per atom
- Calculated volume: 31.4 Å³/atom
- Calculated density: 7.9 g/cm3

Unit cell a=5.621 b=5.621 c=5.621 alpha=60.00 beta=60.00 gamma=60.00
Fractional coordinates of all 4 atoms:
La (0.250, 0.250, 0.250)
La (0.750, 0.750, 0.750)
Tl (0.000, 0.000, 0.000)
Cd (0.500, 0.500, 0.500)

---

6.
VASP calculation (GGA-PBE) on an optimized crystal structure of LaTlCd.

Computed properties:
- Energy of formation: -8.39 kcal/mol of atoms
- Uncorrected energy: -3.10 eV per atom
- Calculated volume: 29.0 Å³/atom
- Calculated density: 8.7 g/cm3

Unit cell a=5.064 b=5.064 c=7.832 alpha=90.00 beta=90.00 gamma=120.00
Fractional coordinates of all 6 atoms:
La (0.000, 0.000, 0.000)
La (0.000, 0.000, 0.500)
Tl (0.333, 0.667, 0.250)
Tl (0.667, 0.333, 0.750)
Cd (0.333, 0.667, 0.750)
Cd (0.667, 0.333, 0.250)

---

7.
VASP calculation (GGA-PBE) on an optimized crystal structure of Li3Cd.

Computed properties:
- Energy of formation: -4.17 kcal/mol of atoms
- Uncorrected energy: -1.84 eV per atom
- Calculated volume: 18.6 Å³/atom
- Calculated density: 3.0 g/cm3

Unit cell a=4.723 b=4.723 c=4.723 alpha=60.00 beta=60.00 gamma=60.00
Fractional coordinates of all 4 atoms:
Li (0.000, 0.000, 0.000)
Li (0.250, 0.250, 0.250)
Li (0.750, 0.750, 0.750)
Cd (0.500, 0.500, 0.500)

---

8.
VASP calculation (GGA-PBE) on an optimized crystal structure of LiCd3.

Computed properties:
- Energy of formation: -3.79 kcal/mol of atoms
- Uncorrected energy: -1.33 eV per atom
- Calculated volume: 20.5 Å³/atom
- Calculated density: 7.0 g/cm3

Unit cell a=4.878 b=4.878 c=4.878 alpha=60.00 beta=60.00 gamma=60.00
Fractional coordinates of all 4 atoms:
Li (0.000, 0.000, 0.000)
Cd (0.250, 0.250, 0.250)
Cd (0.500, 0.500, 0.500)
Cd (0.750, 0.750, 0.750)

---

9.
VASP calculation (GGA-PBE) on an optimized crystal structure of Li3Cd.

Computed properties:
- Energy of formation: -4.01 kcal/mol of atoms
- Uncorrected energy: -1.84 eV per atom
- Calculated volume: 18.6 Å³/atom
- Calculated density: 3.0 g/cm3

Unit cell a=5.258 b=5.258 c=5.258 alpha=133.79 beta=133.79 gamma=67.41
Fractional coordinates of all 4 atoms:
Li (0.000, 0.000, 0.000)
Li (0.250, 0.750, 0.500)
Li (0.750, 0.250, 0.500)
Cd (0.500, 0.500, 0.000)

---

10.
VASP calculation (GGA-PBE) on an optimized crystal structure of LiCd.

Computed properties:
- Energy of formation: -5.79 kcal/mol of atoms
- Uncorrected energy: -1.67 eV per atom
- Calculated volume: 19.2 Å³/atom
- Calculated density: 5.2 g/cm3

Unit cell a=4.771 b=4.771 c=4.771 alpha=60.00 beta=60.00 gamma=60.00
Fractional coordinates of all 4 atoms:
Li (0.125, 0.125, 0.125)
Li (0.875, 0.875, 0.875)
Cd (0.375, 0.375, 0.375)
Cd (0.625, 0.625, 0.625)

---

11.
VASP calculation (GGA-PBE) on an optimized crystal structure of Li3Cd.

Computed properties:
- Energy of formation: -1.74 kcal/mol of atoms
- Uncorrected energy: -1.74 eV per atom
- Calculated volume: 20.3 Å³/atom
- Calculated density: 2.7 g/cm3

Unit cell a=9.583 b=9.583 c=9.583 alpha=18.97 beta=18.97 gamma=18.97
Fractional coordinates of all 4 atoms:
Li (0.000, 0.000, 0.000)
Li (0.249, 0.249, 0.249)
Li (0.751, 0.751, 0.751)
Cd (0.500, 0.500, 0.500)

---

12.
VASP calculation (GGA-PBE) on an optimized crystal structure of LiCd3.

Computed properties:
- Energy of formation: -2.35 kcal/mol of atoms
- Uncorrected energy: -1.27 eV per atom
- Calculated volume: 21.2 Å³/atom
- Calculated density: 6.7 g/cm3

Unit cell a=3.184 b=3.184 c=9.651 alpha=90.00 beta=90.00 gamma=120.00
Fractional coordinates of all 4 atoms:
Li (0.000, 0.000, 0.000)
Cd (0.000, 0.000, 0.500)
Cd (0.667, 0.333, 0.235)
Cd (0.667, 0.333, 0.765)

---

13.
VASP calculation (GGA-PBE) on an optimized crystal structure of LiCd3.

Computed properties:
- Energy of formation: -3.78 kcal/mol of atoms
- Uncorrected energy: -1.33 eV per atom
- Calculated volume: 20.4 Å³/atom
- Calculated density: 7.0 g/cm3

Unit cell a=6.180 b=6.180 c=4.942 alpha=90.00 beta=90.00 gamma=120.00
Fractional coordinates of all 8 atoms:
Li (0.333, 0.667, 0.250)
Li (0.667, 0.333, 0.750)
Cd (0.170, 0.340, 0.750)
Cd (0.170, 0.830, 0.750)
Cd (0.340, 0.170, 0.250)
Cd (0.660, 0.830, 0.750)
Cd (0.830, 0.170, 0.250)
Cd (0.830, 0.660, 0.250)

---

14.
VASP calculation (GGA-PBE) on an optimized crystal structure of LiMg6Cd.

Computed properties:
- Energy of formation: -1.27 kcal/mol of atoms
- Uncorrected energy: -1.61 eV per atom
- Calculated volume: 22.0 Å³/atom
- Calculated density: 2.5 g/cm3

Unit cell a=5.117 b=6.310 c=10.892 alpha=90.00 beta=90.00 gamma=90.00
Fractional coordinates of all 16 atoms:
Li (0.000, 0.500, 0.333)
Li (0.000, 0.000, 0.833)
Mg (0.000, 0.251, 0.084)
Mg (0.000, 0.749, 0.084)
Mg (0.000, 0.500, 0.834)
Mg (0.500, 0.248, 0.915)
Mg (0.500, 0.752, 0.915)
Mg (0.500, 0.500, 0.667)
Mg (0.000, 0.751, 0.584)
Mg (0.000, 0.249, 0.584)
Mg (0.000, 0.000, 0.334)
Mg (0.500, 0.748, 0.415)
Mg (0.500, 0.252, 0.415)
Mg (0.500, 0.000, 0.167)
Cd (0.500, 0.500, 0.169)
Cd (0.500, 0.000, 0.669)

---

15.
VASP calculation (GGA-PBE) on an optimized crystal structure of LiMg6Cd.

Computed properties:
- Energy of formation: -1.25 kcal/mol of atoms
- Uncorrected energy: -1.61 eV per atom
- Calculated volume: 21.9 Å³/atom
- Calculated density: 2.5 g/cm3

Unit cell a=5.123 b=6.298 c=10.882 alpha=90.00 beta=90.00 gamma=90.00
Fractional coordinates of all 16 atoms:
Li (0.500, 0.000, 0.833)
Li (0.500, 0.500, 0.333)
Mg (0.500, 0.249, 0.584)
Mg (0.500, 0.751, 0.584)
Mg (0.000, 0.252, 0.416)
Mg (0.000, 0.748, 0.416)
Mg (0.000, 0.000, 0.668)
Mg (0.000, 0.000, 0.167)
Mg (0.500, 0.749, 0.084)
Mg (0.500, 0.251, 0.084)
Mg (0.000, 0.752, 0.916)
Mg (0.000, 0.248, 0.916)
Mg (0.000, 0.500, 0.168)
Mg (0.000, 0.500, 0.667)
Cd (0.500, 0.000, 0.334)
Cd (0.500, 0.500, 0.834)

---

16.
VASP calculation (GGA-PBE) on an optimized crystal structure of Li2MgCdP2.

Computed properties:
- Energy of formation: -5.90 kcal/mol of atoms
- Polymorph energy (0 for the lowest one): 0.354 eV per atom
- Uncorrected energy: -3.12 eV per atom
- Calculated volume: 16.9 Å³/atom
- Calculated density: 3.5 g/cm3

Unit cell a=4.166 b=4.166 c=5.832 alpha=90.00 beta=90.00 gamma=90.00
Fractional coordinates of all 6 atoms:
Li (0.000, 0.500, 0.246)
Li (0.500, 0.000, 0.754)
Mg (0.000, 0.000, 0.500)
Cd (0.500, 0.500, 0.000)
P (0.000, 0.000, 0.000)
P (0.500, 0.500, 0.500)

---

17.
VASP calculation (GGA-PBE) on an optimized crystal structure of Li2MgCdP2.

Computed properties:
- Energy of formation: -14.06 kcal/mol of atoms
- Piezoelectric modulus e_max: 0.591 C/m²
- Polymorph energy (0 for the lowest one): 0.000 eV per atom
- Uncorrected energy: -3.47 eV per atom
- Calculated volume: 18.7 Å³/atom
- Calculated density: 3.2 g/cm3

Unit cell a=4.296 b=4.296 c=6.064 alpha=90.00 beta=90.00 gamma=90.00
Fractional coordinates of all 6 atoms:
Li (0.000, 0.000, 0.000)
Li (0.500, 0.500, 0.500)
Mg (0.000, 0.000, 0.500)
Cd (0.500, 0.500, 0.000)
P (0.000, 0.500, 0.741)
P (0.500, 0.000, 0.259)

---

18.
VASP calculation (GGA-PBE) on an optimized crystal structure of LiCdPO4.

Computed properties:
- Energy of formation: -56.33 kcal/mol of atoms
- Piezoelectric modulus e_max: 0.132 C/m²
- Uncorrected energy: -6.06 eV per atom
- Calculated volume: 12.1 Å³/atom
- Calculated density: 4.2 g/cm3

Unit cell a=10.914 b=4.866 c=6.386 alpha=90.00 beta=90.00 gamma=90.00
Fractional coordinates of all 28 atoms:
Li (0.003, 0.013, 0.000)
Li (0.497, 0.513, 0.500)
Li (0.503, 0.487, 0.000)
Li (0.997, 0.987, 0.500)
Cd (0.216, 0.544, 0.745)
Cd (0.284, 0.044, 0.245)
Cd (0.716, 0.956, 0.745)
Cd (0.784, 0.456, 0.245)
P (0.089, 0.604, 0.242)
P (0.411, 0.104, 0.742)
P (0.589, 0.896, 0.242)
P (0.911, 0.396, 0.742)
O (0.044, 0.274, 0.745)
O (0.092, 0.289, 0.239)
O (0.154, 0.740, 0.048)
O (0.156, 0.733, 0.438)
O (0.344, 0.233, 0.938)
O (0.346, 0.240, 0.548)
O (0.408, 0.789, 0.739)
O (0.456, 0.774, 0.245)
O (0.544, 0.226, 0.745)
O (0.592, 0.211, 0.239)
O (0.654, 0.760, 0.048)
O (0.656, 0.767, 0.438)
O (0.844, 0.267, 0.938)
O (0.846, 0.260, 0.548)
O (0.908, 0.711, 0.739)
O (0.956, 0.726, 0.245)

---

19.
VASP calculation (GGA-PBE) on an optimized crystal structure of LiCdPO4.

Computed properties:
- Energy of formation: -56.33 kcal/mol of atoms
- Uncorrected energy: -6.06 eV per atom
- Calculated volume: 12.1 Å³/atom
- Calculated density: 4.2 g/cm3

Unit cell a=10.933 b=6.375 c=4.864 alpha=90.00 beta=90.00 gamma=90.00
Fractional coordinates of all 28 atoms:
Li (0.000, 0.000, 0.000)
Li (0.000, 0.500, 0.000)
Li (0.500, 0.000, 0.500)
Li (0.500, 0.500, 0.500)
Cd (0.216, 0.250, 0.458)
Cd (0.284, 0.750, 0.958)
Cd (0.716, 0.250, 0.042)
Cd (0.784, 0.750, 0.542)
P (0.088, 0.750, 0.396)
P (0.412, 0.250, 0.896)
P (0.588, 0.750, 0.104)
P (0.912, 0.250, 0.604)
O (0.044, 0.250, 0.726)
O (0.092, 0.750, 0.712)
O (0.154, 0.555, 0.264)
O (0.154, 0.945, 0.264)
O (0.346, 0.055, 0.764)
O (0.346, 0.445, 0.764)
O (0.408, 0.250, 0.212)
O (0.456, 0.750, 0.226)
O (0.544, 0.250, 0.774)
O (0.592, 0.750, 0.788)
O (0.654, 0.555, 0.236)
O (0.654, 0.945, 0.236)
O (0.846, 0.055, 0.736)
O (0.846, 0.445, 0.736)
O (0.908, 0.250, 0.288)
O (0.956, 0.750, 0.274)